{"formula": "Ba3Tb", "functional": "GGA-PBE", "state": "relaxed", "lattice_angstrom": [[1.348, -6.727, 2.407], [1.851, 0.197, 7.028], [-5.608, 2.844, -3.650]], "species": ["Ba", "Ba", "Ba", "Tb"], "fractional_positions": [[0.750, 0.250, 0.500], [0.500, 0.500, 0.000], [0.250, 0.750, 0.500], [0.000, 0.000, 0.000]], "vol_a3_per_cell": 207, "formation_enthalpy_0k_mev_per_atom": 236, "de_polymorph_ev_per_atom": 0.015, "spacegroup": "No. 139", "dft_energy_ev_per_cell": -9.45}

{"formula": "NaYSe4O12", "functional": "GGA-PBE", "state": "relaxed", "lattice_angstrom": [[-4.827, -2.007, -1.333], [1.380, -4.751, 2.153], [-2.792, 2.241, 6.734]], "species": ["Se", "Se", "Se", "Se", "O", "O", "O", "O", "O", "O", "O", "O", "O", "O", "O", "O", "Na", "Y"], "fractional_positions": [[0.000, 0.500, 0.746], [0.500, 0.000, 0.254], [0.000, 0.500, 0.254], [0.500, 0.000, 0.746], [0.241, 0.241, 0.771], [0.759, 0.241, 0.229], [0.241, 0.759, 0.229], [0.241, 0.759, 0.771], [0.759, 0.241, 0.771], [0.000, 0.500, 0.000], [0.000, 0.500, 0.500], [0.500, 0.000, 0.500], [0.500, 0.000, 0.000], [0.759, 0.759, 0.771], [0.759, 0.759, 0.229], [0.241, 0.241, 0.229], [0.500, 0.500, 0.500], [0.000, 0.000, 0.000]], "vol_a3_per_cell": 222, "formation_enthalpy_0k_mev_per_atom": -1222, "spacegroup": "No. 123", "dft_energy_ev_per_cell": -94.90, "energy_mp2020_ha_per_atom": -0.21059}

{"formula": "Ce2Ga2Fe15", "functional": "GGA-PBE", "state": "relaxed", "lattice_angstrom": [[-4.851, -2.665, -3.340], [-4.844, 3.508, 2.453], [-0.415, 4.415, -4.704]], "species": ["Ce", "Ce", "Fe", "Fe", "Fe", "Fe", "Fe", "Fe", "Fe", "Fe", "Fe", "Fe", "Fe", "Fe", "Fe", "Fe", "Fe", "Ga", "Ga"], "fractional_positions": [[0.652, 0.652, 0.652], [0.348, 0.348, 0.348], [0.842, 0.342, 0.342], [0.298, 0.702, 0.000], [0.298, 0.000, 0.702], [0.658, 0.658, 0.158], [0.000, 0.000, 0.500], [0.342, 0.342, 0.842], [0.000, 0.702, 0.298], [0.702, 0.298, 0.000], [0.158, 0.658, 0.658], [0.500, 0.000, 0.000], [0.000, 0.500, 0.000], [0.658, 0.158, 0.658], [0.702, 0.000, 0.298], [0.000, 0.298, 0.702], [0.342, 0.842, 0.342], [0.897, 0.897, 0.897], [0.103, 0.103, 0.103]], "vol_a3_per_cell": 263, "formation_enthalpy_0k_mev_per_atom": -42, "spacegroup": "No. 166", "dft_energy_ev_per_cell": -145.77}

{"formula": "Ti2Nb2Ni2C", "functional": "GGA-PBE", "state": "relaxed", "lattice_angstrom": [[-0.259, -0.752, 8.133], [6.347, 5.115, 0.583], [-6.702, 2.324, -4.058]], "species": ["Ti", "Ti", "Ti", "Ti", "Ti", "Ti", "Ti", "Ti", "Ni", "Ni", "Ni", "Ni", "Ni", "Ni", "Ni", "Ni", "Nb", "Nb", "Nb", "Nb", "Nb", "Nb", "Nb", "Nb", "C", "C", "C", "C"], "fractional_positions": [[0.375, 0.127, 0.248], [0.315, 0.315, 0.631], [0.880, 0.127, 0.752], [0.685, 0.685, 0.369], [0.685, 0.315, 0.000], [0.315, 0.685, 0.000], [0.873, 0.120, 0.248], [0.873, 0.625, 0.752], [0.081, 0.922, 0.158], [0.665, 0.002, 0.337], [0.078, 0.919, 0.842], [0.672, 0.335, 0.337], [0.665, 0.328, 0.663], [0.078, 0.236, 0.158], [0.764, 0.922, 0.842], [0.998, 0.335, 0.663], [0.317, 0.317, 0.000], [0.433, 0.567, 0.500], [0.066, 0.566, 0.500], [0.434, 0.934, 0.500], [0.067, 0.567, 0.134], [0.433, 0.933, 0.866], [0.067, 0.933, 0.500], [0.683, 0.683, 0.000], [0.373, 0.621, 0.751], [0.379, 0.627, 0.249], [0.870, 0.621, 0.249], [0.379, 0.130, 0.751]], "vol_a3_per_cell": 388, "formation_enthalpy_0k_mev_per_atom": -435, "spacegroup": "No. 119", "dft_energy_ev_per_cell": -239.31}